[1]
# Ca2Mg, relaxed, DFT PBE
data_Ca2Mg
_symmetry_space_group_name_H-M 'P 1'
_symmetry_Int_Tables_number 1
_cell_length_a 3.774
_cell_length_b 3.774
_cell_length_c 17.610
_cell_angle_alpha 90.00
_cell_angle_beta 90.00
_cell_angle_gamma 120.00
loop_
_symmetry_equiv_pos_as_xyz
'x,y,z'
loop_
_atom_site_label
_atom_site_type_symbol
_atom_site_fract_x
_atom_site_fract_y
_atom_site_fract_z
_atom_site_occupancy
Ca1 Ca 0.333 0.667 0.908 1
Ca2 Ca 0.333 0.667 0.592 1
Ca3 Ca 0.667 0.333 0.408 1
Ca4 Ca 0.667 0.333 0.092 1
Mg1 Mg 0.667 0.333 0.750 1
Mg2 Mg 0.333 0.667 0.250 1
# Total magnetization (μB per formula unit): 0.09
# Crystal system: hexagonal
# SG: P6_3/mmc
# ΔH_f (0 K) (eV/atom): 0.058
# Calculated total energy (eV/atom): -1.81


[2]
# Nb2Bi2PbO9, relaxed, DFT PBE
data_Nb2Bi2PbO9
_symmetry_space_group_name_H-M 'P 1'
_symmetry_Int_Tables_number 1
_cell_length_a 12.995
_cell_length_b 12.995
_cell_length_c 5.700
_cell_angle_alpha 90.00
_cell_angle_beta 90.00
_cell_angle_gamma 154.86
loop_
_symmetry_equiv_pos_as_xyz
'x,y,z'
loop_
_atom_site_label
_atom_site_type_symbol
_atom_site_fract_x
_atom_site_fract_y
_atom_site_fract_z
_atom_site_occupancy
Nb1 Nb 0.836 0.666 0.232 1
Nb2 Nb 0.666 0.836 0.232 1
Nb3 Nb 0.334 0.164 0.732 1
Nb4 Nb 0.164 0.334 0.732 1
Bi1 Bi 0.084 0.485 0.311 1
Bi2 Bi 0.515 0.916 0.811 1
Bi3 Bi 0.916 0.515 0.811 1
Bi4 Bi 0.485 0.084 0.311 1
Pb1 Pb 0.754 0.754 0.754 1
Pb2 Pb 0.246 0.246 0.254 1
O1 O 0.836 0.521 0.192 1
O2 O 0.454 0.594 0.472 1
O3 O 0.881 0.057 0.921 1
O4 O 0.164 0.479 0.692 1
O5 O 0.769 0.266 0.520 1
O6 O 0.201 0.201 0.684 1
O7 O 0.479 0.164 0.692 1
O8 O 0.943 0.119 0.421 1
O9 O 0.594 0.454 0.472 1
O10 O 0.231 0.734 0.020 1
O11 O 0.057 0.881 0.921 1
O12 O 0.734 0.231 0.020 1
O13 O 0.521 0.836 0.192 1
O14 O 0.266 0.769 0.520 1
O15 O 0.119 0.943 0.421 1
O16 O 0.546 0.406 0.972 1
O17 O 0.799 0.799 0.184 1
O18 O 0.406 0.546 0.972 1
# Total magnetization (μB per formula unit): 0.00
# Crystal system: orthorhombic
# SG: Cmc2_1
# ΔH_f (0 K) (eV/atom): -2.370
# Calculated total energy (eV/atom): -7.37
# Relative energy among the computed polymorphs (eV per atom): 0.000


[3]
# MgCuPb, relaxed, DFT PBE
data_MgCuPb
_symmetry_space_group_name_H-M 'P 1'
_symmetry_Int_Tables_number 1
_cell_length_a 4.526
_cell_length_b 4.526
_cell_length_c 4.526
_cell_angle_alpha 60.00
_cell_angle_beta 60.00
_cell_angle_gamma 60.00
loop_
_symmetry_equiv_pos_as_xyz
'x,y,z'
loop_
_atom_site_label
_atom_site_type_symbol
_atom_site_fract_x
_atom_site_fract_y
_atom_site_fract_z
_atom_site_occupancy
Mg1 Mg 0.000 0.000 0.000 1
Cu1 Cu 0.250 0.250 0.250 1
Pb1 Pb 0.500 0.500 0.500 1
# Total magnetization (μB per formula unit): 0.00
# Crystal system: cubic
# SG: F-43m
# ΔH_f (0 K) (eV/atom): -0.020
# Calculated total energy (eV/atom): -3.16


[4]
# CeP2Ir2, relaxed, DFT PBE
data_CeP2Ir2
_symmetry_space_group_name_H-M 'P 1'
_symmetry_Int_Tables_number 1
_cell_length_a 4.158
_cell_length_b 4.158
_cell_length_c 9.597
_cell_angle_alpha 90.00
_cell_angle_beta 90.00
_cell_angle_gamma 90.00
loop_
_symmetry_equiv_pos_as_xyz
'x,y,z'
loop_
_atom_site_label
_atom_site_type_symbol
_atom_site_fract_x
_atom_site_fract_y
_atom_site_fract_z
_atom_site_occupancy
Ce1 Ce 0.000 0.500 0.243 1
Ce2 Ce 0.500 0.000 0.757 1
P1 P 0.000 0.000 0.000 1
P2 P 0.500 0.500 0.000 1
P3 P 0.000 0.500 0.640 1
P4 P 0.500 0.000 0.360 1
Ir1 Ir 0.000 0.000 0.500 1
Ir2 Ir 0.500 0.500 0.500 1
Ir3 Ir 0.000 0.500 0.886 1
Ir4 Ir 0.500 0.000 0.114 1
# Crystal system: tetragonal
# SG: P4/nmm
# ΔH_f (0 K) (eV/atom): -1.047
# Calculated total energy (eV/atom): -7.93